No. 1
The following is a PBE with a Hubbard U calculation of a relaxed structure of NaSrPrWO6, from the Materials Project database.

Cell: 6.054 6.054 6.054 Å, 60.00 60.00 60.00°
Sites, in units of the cell vectors:
O (0.272, 0.272, 0.728)
O (0.272, 0.728, 0.272)
O (0.272, 0.728, 0.728)
Pr (0.000, 0.000, 0.000)
Sr (0.250, 0.250, 0.250)
W (0.500, 0.500, 0.500)
Na (0.750, 0.750, 0.750)
O (0.728, 0.272, 0.728)
O (0.728, 0.272, 0.272)
O (0.728, 0.728, 0.272)

Values from the calculation:
For the energy relative to the lowest polymorph listed for this composition, the calculation gives 57.1 meV/atom. As for the uncorrected energy: -6.970 eV/atom. The formation energy is -27.824 eV per formula unit. As for the space group: No. 216.

***

No. 2
The following is a PBE with a Hubbard U calculation of a relaxed structure of Na2PrWO6, from the Materials Project database.

Cell: 8.414 8.414 8.414 Å, 90.00 90.00 90.00°
Sites, in units of the cell vectors:
Na (0.500, 0.500, 0.500)
Pr (0.750, 0.750, 0.750)
Pr (0.750, 0.250, 0.250)
Na (0.500, 0.000, 0.000)
O (0.797, 0.026, 0.711)
O (0.203, 0.974, 0.711)
Na (0.000, 0.000, 0.000)
Na (0.500, 0.000, 0.500)
O (0.711, 0.797, 0.026)
O (0.026, 0.289, 0.203)
Pr (0.250, 0.750, 0.250)
Na (0.000, 0.500, 0.000)
W (0.250, 0.250, 0.250)
Na (0.000, 0.000, 0.500)
O (0.526, 0.211, 0.703)
O (0.974, 0.289, 0.797)
O (0.297, 0.526, 0.789)
O (0.474, 0.789, 0.703)
O (0.026, 0.711, 0.797)
O (0.203, 0.026, 0.289)
O (0.211, 0.703, 0.526)
O (0.211, 0.297, 0.474)
O (0.289, 0.203, 0.026)
W (0.250, 0.750, 0.750)
O (0.703, 0.474, 0.789)
O (0.974, 0.711, 0.203)
O (0.289, 0.797, 0.974)
O (0.711, 0.203, 0.974)
O (0.789, 0.703, 0.474)
W (0.750, 0.750, 0.250)
O (0.474, 0.211, 0.297)
O (0.797, 0.974, 0.289)
Na (0.500, 0.500, 0.000)
W (0.750, 0.250, 0.750)
O (0.789, 0.297, 0.526)
O (0.703, 0.526, 0.211)
Na (0.000, 0.500, 0.500)
O (0.297, 0.474, 0.211)
Pr (0.250, 0.250, 0.750)
O (0.526, 0.789, 0.297)

Values from the calculation:
For the energy relative to the lowest polymorph listed for this composition, the calculation gives 0.0 meV/atom. As for the uncorrected energy: -6.562 eV/atom. The formation energy is -24.112 eV per formula unit. As for the space group: No. 201.

***

Question: Which value of energy relative to the lowest polymorph listed for this composition does entry 2 give?
Answer: 0.0 meV/atom

***

Question: The highest energy relative to the lowest polymorph listed for this composition belongs to which entry?
Answer: NaSrPrWO6

***

Question: Which of these has the lowest uncorrected energy?
Answer: NaSrPrWO6

***

Question: The highest uncorrected energy belongs to which entry?
Answer: Na2PrWO6